Here is a geometry-optimized Na3FeAsCO7 structure from the Materials Project database. Energies are from PBE+U.

Unit cell a=8.6621 b=8.6682 c=9.2418 alpha=89.27 beta=89.28 gamma=104.45
Closest atoms and distances in Å follow each position.
Positions (direct):
Na: 0.5064 0.2563 0.0798  5 O 2.36-2.54
Na: 0.0064 0.7564 0.0798  5 O 2.36-2.55
Na: 0.4936 0.7436 0.9202  5 O 2.36-2.54
Na: 0.9936 0.2436 0.9202  5 O 2.36-2.55
Na: 0.1259 0.1234 0.2568  5 O 2.33-2.54
Na: 0.6258 0.6234 0.2569  5 O 2.33-2.54
Na: 0.3734 0.8759 0.2569  5 O 2.33-2.53
Na: 0.8734 0.3759 0.2570  5 O 2.33-2.54
Na: 0.6267 0.1242 0.7430  5 O 2.33-2.54
Na: 0.1267 0.6240 0.7430  5 O 2.33-2.54
Na: 0.8741 0.8766 0.7431  5 O 2.33-2.54
Na: 0.3740 0.3766 0.7431  5 O 2.33-2.54
Fe: 0.2661 0.5160 0.3446  5 O 2.10-2.26
Fe: 0.7340 0.4841 0.6553  5 O 2.10-2.26
Fe: 0.7661 0.0160 0.3445  5 O 2.10-2.26
Fe: 0.2340 0.9841 0.6555  5 O 2.10-2.26
As: 0.4748 0.2247 0.4158  4 O 1.71-1.73
As: 0.9751 0.7249 0.4158  4 O 1.71-1.73
As: 0.5250 0.7753 0.5842  4 O 1.71-1.73
As: 0.0251 0.2752 0.5842  4 O 1.71-1.73
C: 0.7369 0.9870 0.0560  3 O 1.30-1.31
C: 0.2369 0.4871 0.0561  3 O 1.30-1.31
C: 0.2631 0.0129 0.9440  3 O 1.30-1.31
C: 0.7630 0.5128 0.9439  3 O 1.30-1.31
O: 0.2717 0.0216 0.0838  1 C 1.30
O: 0.7717 0.5216 0.0837  1 C 1.30
O: 0.7284 0.9784 0.9162  1 C 1.30
O: 0.2283 0.4783 0.9163  1 C 1.30
O: 0.8471 0.0973 0.1162  1 C 1.31
O: 0.3472 0.5974 0.1162  1 C 1.31
O: 0.1528 0.9027 0.8838  1 C 1.31
O: 0.6527 0.4026 0.8838  1 C 1.31
O: 0.6356 0.8858 0.1385  1 C 1.30
O: 0.1357 0.3859 0.1387  1 C 1.31
O: 0.3644 0.1141 0.8615  1 C 1.30
O: 0.8643 0.6140 0.8613  1 C 1.31
O: 0.3127 0.0627 0.4407  1 As 1.73
O: 0.8131 0.5628 0.4406  1 As 1.73
O: 0.6870 0.9373 0.5595  1 As 1.73
O: 0.1872 0.4371 0.5593  1 As 1.73
O: 0.4555 0.7058 0.4189  1 As 1.71
O: 0.9557 0.2057 0.4188  1 As 1.71
O: 0.5443 0.2944 0.5811  1 As 1.71
O: 0.0445 0.7943 0.5812  1 As 1.71
O: 0.4172 0.3643 0.3075  1 As 1.73
O: 0.9174 0.8645 0.3077  1 As 1.73
O: 0.6145 0.1675 0.3074  1 As 1.73
O: 0.1148 0.6678 0.3074  1 As 1.73
O: 0.3853 0.8323 0.6927  1 As 1.73
O: 0.8855 0.3325 0.6925  1 As 1.73
O: 0.5826 0.6355 0.6923  1 As 1.73
O: 0.0828 0.1357 0.6925  1 As 1.73

Here is a geometry-optimized V2As3H17C4N8O17 structure from the Materials Project database. Energies are from PBE+U.

Unit cell a=8.6795 b=11.2350 c=12.6319 alpha=83.14 beta=82.66 gamma=69.92
Closest atoms and distances in Å follow each position.
Positions (direct):
V: 0.2697 0.8123 0.6221  2 O 1.63-1.79
V: 0.7303 0.1877 0.3779  2 O 1.63-1.79
V: 0.2227 0.1131 0.5924  1 O 1.61
V: 0.7773 0.8869 0.4076  1 O 1.61
As: 0.0423 0.6543 0.5432  4 O 1.69-1.76
As: 0.9577 0.3457 0.4568  4 O 1.69-1.76
As: 0.8274 0.0304 0.6019  4 O 1.70-1.76
As: 0.1726 0.9696 0.3981  4 O 1.70-1.76
As: 0.1274 0.9852 0.8274  4 O 1.70-1.77
As: 0.8726 0.0148 0.1726  4 O 1.70-1.77
H: 0.1958 0.4727 0.4675  1 O 1.02
H: 0.8042 0.5273 0.5325  1 O 1.02
H: 0.8041 0.0362 0.7860  1 O 1.03
H: 0.1959 0.9638 0.2140  1 O 1.03
H: 0.1730 0.9721 0.0065  1 O 1.01
H: 0.8270 0.0279 0.9935  1 O 1.01
H: 0.2789 0.5657 0.7324  1 N 1.02
H: 0.7211 0.4343 0.2676  1 N 1.02
H: 0.9861 0.6202 0.9506  1 N 1.03
H: 0.0139 0.3798 0.0494  1 N 1.03
H: 0.0837 0.6851 0.8361  1 N 1.02
H: 0.9163 0.3149 0.1639  1 N 1.02
H: 0.5135 0.1836 0.7689  1 N 1.02
H: 0.4865 0.8164 0.2311  1 N 1.02
H: 0.3372 0.2597 0.8595  1 N 1.02
H: 0.6628 0.7403 0.1405  1 N 1.02
H: 0.5959 0.3127 0.6282  1 N 1.02
H: 0.4041 0.6873 0.3718  1 N 1.02
H: 0.4944 0.4770 0.6218  1 N 1.02
H: 0.5056 0.5230 0.3782  1 N 1.02
H: 0.4435 0.7780 0.9291  1 N 1.02
H: 0.5565 0.2220 0.0709  1 N 1.02
H: 0.5095 0.6111 0.9553  1 N 1.02
H: 0.4905 0.3889 0.0447  1 N 1.02
H: 0.5770 0.8687 0.7834  1 N 1.01
H: 0.4230 0.1313 0.2166  1 N 1.01
H: 0.7277 0.7711 0.6992  1 N 1.02
H: 0.2723 0.2289 0.3008  1 N 1.02
H: 0.8132 0.5669 0.7271  1 N 1.05
H: 0.1868 0.4331 0.2729  1 N 1.05
H: 0.8605 0.2555 0.8287  1 N 1.02
H: 0.1395 0.7445 0.1713  1 N 1.02
H: 0.9210 0.3565 0.7296  1 N 1.02
H: 0.0790 0.6435 0.2704  1 N 1.02
C: 0.4080 0.3755 0.7455  3 N 1.33-1.37
C: 0.5920 0.6245 0.2545  3 N 1.33-1.37
C: 0.1717 0.4906 0.8688  1 O 1.25, 1 N 1.34
C: 0.8283 0.5094 0.1312  1 O 1.25, 1 N 1.34
C: 0.6338 0.6784 0.8277  3 N 1.33-1.36
C: 0.3662 0.3216 0.1723  3 N 1.33-1.36
C: 0.7373 0.4439 0.8460  1 O 1.25, 1 N 1.34
C: 0.2627 0.5561 0.1540  1 O 1.25, 1 N 1.34
N: 0.2858 0.4829 0.7783  1 H 1.02
N: 0.7142 0.5171 0.2217  1 H 1.02
N: 0.0710 0.6090 0.8848  2 H 1.02-1.03
N: 0.9290 0.3910 0.1152  2 H 1.02-1.03
N: 0.4235 0.2626 0.7969  2 H 1.02
N: 0.5765 0.7375 0.2031  2 H 1.02
N: 0.5108 0.3898 0.6616  2 H 1.02
N: 0.4892 0.6102 0.3384  2 H 1.02
N: 0.5233 0.6903 0.9120  2 H 1.02
N: 0.4767 0.3097 0.0880  2 H 1.02
N: 0.6549 0.7802 0.7699  2 H 1.01-1.02
N: 0.3451 0.2198 0.2301  2 H 1.01-1.02
N: 0.7353 0.5630 0.7969  1 H 1.05
N: 0.2647 0.4370 0.2031  1 H 1.05
N: 0.8502 0.3456 0.7983  2 H 1.02
N: 0.1498 0.6544 0.2017  2 H 1.02
O: 0.2252 0.0889 0.4414  1 As 1.72
O: 0.7748 0.9111 0.5586  1 As 1.72
O: 0.3565 0.1845 0.5802  1 V 1.61
O: 0.6435 0.8155 0.4198  1 V 1.61
O: 0.2627 0.8245 0.4672  1 As 1.73
O: 0.7373 0.1755 0.5328  1 As 1.73
O: 0.0193 0.2550 0.5750  1 As 1.74, 1 V 1.95
O: 0.9807 0.7450 0.4250  1 As 1.74, 1 V 1.95
O: 0.3485 0.9415 0.6097  2 V 1.79-1.86
O: 0.6515 0.0585 0.3903  2 V 1.79-1.86
O: 0.2278 0.5353 0.5045  1 H 1.02
O: 0.7722 0.4647 0.4955  1 H 1.02
O: 0.4294 0.6837 0.6347  1 V 1.63
O: 0.5706 0.3163 0.3653  1 V 1.63
O: 0.0312 0.9972 0.6129  1 As 1.70
O: 0.9688 0.0028 0.3871  1 As 1.70
O: 0.1766 0.1050 0.7468  1 As 1.73
O: 0.8234 0.8950 0.2532  1 As 1.73
O: 0.0970 0.7304 0.6355  1 As 1.73
O: 0.9030 0.2696 0.3645  1 As 1.73
O: 0.8972 0.5928 0.6030  2 H 1.65-1.68, 1 As 1.69
O: 0.1028 0.4072 0.3970  2 H 1.65-1.68, 1 As 1.69
O: 0.2027 0.8387 0.7750  1 As 1.73
O: 0.7973 0.1613 0.2250  1 As 1.73
O: 0.7212 0.0481 0.7307  1 H 1.03
O: 0.2788 0.9519 0.2693  1 H 1.03
O: 0.2461 0.9632 0.9364  1 H 1.01
O: 0.7539 0.0368 0.0636  1 H 1.01
O: 0.9237 0.0314 0.8713  2 H 1.57-1.66, 1 As 1.70
O: 0.0763 0.9686 0.1287  2 H 1.57-1.66, 1 As 1.70
O: 0.1668 0.3934 0.9270  1 C 1.25
O: 0.8332 0.6066 0.0730  1 C 1.25
O: 0.6432 0.4319 0.9266  1 C 1.25
O: 0.3568 0.5681 0.0734  1 C 1.25

Results
- spin magnetization (μB/cell) = 0.0

Here is a geometry-optimized LiMnAsCO7 structure from the Materials Project database. Energies are from PBE+U.

Unit cell a=6.4117 b=5.2153 c=8.9073 alpha=85.82 beta=90.00 gamma=90.00
Closest atoms and distances in Å follow each position.
Positions (direct):
Li: 0.4985 0.7801 0.7903  1 O 1.96
Li: 0.9985 0.2199 0.2097  1 O 1.96
Mn: 0.2494 0.2049 0.6677  6 O 1.90-1.99
Mn: 0.7494 0.7951 0.3323  6 O 1.90-1.99
As: 0.7543 0.2792 0.5696  4 O 1.71-1.73
As: 0.2543 0.7208 0.4304  4 O 1.71-1.73
C: 0.2500 0.2754 0.9327  3 O 1.23-1.33
C: 0.7500 0.7246 0.0673  3 O 1.23-1.33
O: 0.7227 0.6881 0.9338  1 C 1.23
O: 0.2558 0.0471 0.8766  1 C 1.32
O: 0.2700 0.4603 0.8230  1 C 1.33
O: 0.9545 0.2003 0.6910  1 As 1.71, 1 Mn 1.90
O: 0.5504 0.1719 0.6822  1 As 1.72
O: 0.2631 0.8564 0.5996  1 As 1.71
O: 0.7334 0.6075 0.5283  1 As 1.73
O: 0.2334 0.3925 0.4717  1 As 1.73
O: 0.7631 0.1436 0.4004  1 As 1.71
O: 0.0504 0.8281 0.3178  1 As 1.72
O: 0.4545 0.7997 0.3090  1 As 1.71, 1 Mn 1.90
O: 0.7700 0.5397 0.1770  1 C 1.33
O: 0.7558 0.9529 0.1234  1 C 1.32
O: 0.2227 0.3119 0.0662  1 C 1.23

Results
- spin magnetization (μB/cell) = 6.0
- piezoelectric modulus e_max (C/m2) = 0.42

| no. | formation energy from the elements (eV per atom) |
| --- | --- |
| 1 | -1.98 |
| 2 | -1.09 |
| 3 | -1.84 |